The following is a DFT calculation (PBE) of a geometry-optimized Rb2P structure.

Results
Total magnetization: 1.00 μB per formula unit
Space group: Pnma, No. 62
Formation enthalpy at 0 K: -1 kJ/mol of formula units
Calculated total energy: -7.38 eV per formula unit

abc: 5.4904 8.4203 10.6103
angles: 90.00 90.00 90.00
Last column: nearest neighbours and their distance in Å.
Sites, in units of the cell vectors:
Rb1 0.2500 0.4813 0.1738  5 P 3.62-4.04, 3 Rb 3.99-4.00
P1 0.7500 0.7518 0.1151  7 Rb 3.40-3.64
P2 0.2500 0.2482 0.8849  7 Rb 3.40-3.64
Rb2 0.2500 0.8396 0.9276  4 P 3.40-3.47
P3 0.2500 0.7482 0.6151  7 Rb 3.40-3.64
Rb3 0.7500 0.5187 0.8262  5 P 3.62-4.04, 3 Rb 3.99-4.00
Rb4 0.2500 0.9813 0.3262  5 P 3.62-4.04, 3 Rb 3.99-4.00
Rb5 0.7500 0.1604 0.0724  4 P 3.40-3.47
Rb6 0.7500 0.6604 0.4276  4 P 3.40-3.47
P4 0.7500 0.2518 0.3849  7 Rb 3.40-3.64
Rb7 0.2500 0.3396 0.5724  4 P 3.40-3.47
Rb8 0.7500 0.0187 0.6738  5 P 3.62-4.04, 3 Rb 3.99-4.00


The following is a DFT calculation (PBE) of a geometry-optimized NdP3H10O14 structure.

Results
Total magnetization: 0.00 μB per formula unit
Space group: P2_1/c, No. 14
Formation enthalpy at 0 K: -5541 kJ/mol of formula units
Calculated total energy: -172.02 eV per formula unit

abc: 7.7697 11.3739 14.3553
angles: 90.00 106.47 90.00
Last column: nearest neighbours and their distance in Å.
Sites, in units of the cell vectors:
O1 0.8734 0.1048 0.2971  2 H 0.98-1.00
H1 0.9438 0.1740 0.7390  1 O 0.98
O2 0.4447 0.3841 0.0616  2 P 1.62
Nd1 0.3199 0.7548 0.6525  8 O 2.37-2.53
H2 0.5678 0.9932 0.7678  1 O 1.00
H3 0.1375 0.9118 0.7710  1 O 0.98
H4 0.5600 0.5267 0.6684  1 O 0.98
H5 0.7177 0.6706 0.2570  1 O 1.01
O3 0.2045 0.0638 0.4049  1 P 1.50, 2 H 1.58-1.64
O4 0.3886 0.3657 0.7918  2 H 1.01
H6 0.9843 0.0822 0.8250  1 O 0.99
H7 0.2388 0.0594 0.9427  1 O 0.98
O5 0.2725 0.3078 0.5444  2 P 1.64-1.65
H8 0.7177 0.8294 0.7570  1 O 1.01
O6 0.5855 0.2150 0.1669  1 P 1.50
H9 0.5600 0.9733 0.1684  1 O 0.98
O7 0.7275 0.6922 0.4556  2 P 1.64-1.65
H10 0.0023 0.9165 0.6636  1 O 1.00
O8 0.9072 0.7796 0.8306  1 P 1.50, 1 H 1.65
H11 0.2823 0.1706 0.2430  1 O 1.01
P1 0.5218 0.7564 0.9347  4 O 1.50-1.65
Nd2 0.6801 0.2548 0.8475  8 O 2.37-2.53
O9 0.5365 0.0577 0.8076  2 H 0.98-1.00
O10 0.8805 0.8862 0.4415  2 P 1.62
H12 0.8375 0.0680 0.0670  1 O 0.98
P2 0.4782 0.2436 0.0653  4 O 1.50-1.65
H13 0.6671 0.8973 0.6576  1 O 1.01
H14 0.9977 0.4165 0.8364  1 O 1.00
Nd3 0.3199 0.7452 0.1525  8 O 2.37-2.53
O11 0.8734 0.3952 0.7971  2 H 0.98-1.00
H15 0.5678 0.5068 0.2678  1 O 1.00
H16 0.8625 0.4118 0.7290  1 O 0.98
O12 0.2045 0.4362 0.9049  1 P 1.50, 2 H 1.58-1.64
H17 0.4400 0.4733 0.3316  1 O 0.98
O13 0.3886 0.1343 0.2918  2 H 1.01
H18 0.9438 0.3260 0.2390  1 O 0.98
H19 0.1375 0.5882 0.2710  1 O 0.98
O14 0.0928 0.2796 0.6694  1 P 1.50, 1 H 1.65
H20 0.0023 0.5835 0.1636  1 O 1.00
H21 0.7612 0.5594 0.5573  1 O 0.98
H22 0.2823 0.3294 0.7430  1 O 1.01
H23 0.0562 0.8260 0.2610  1 O 0.98
O15 0.8206 0.5004 0.6053  2 H 0.98
P3 0.9073 0.7461 0.4330  4 O 1.50-1.64
H24 0.9977 0.0835 0.3364  1 O 1.00
H25 0.6671 0.6027 0.1576  1 O 1.01
Nd4 0.6801 0.2452 0.3475  8 O 2.37-2.53
O16 0.0928 0.2204 0.1694  1 P 1.50, 1 H 1.65
O17 0.9364 0.2016 0.9865  1 P 1.51
O18 0.5398 0.2988 0.4810  1 P 1.50
O19 0.2846 0.5759 0.0525  1 P 1.48
O20 0.4145 0.7150 0.3331  1 P 1.50
O21 0.1122 0.6307 0.7179  2 H 0.98-0.99
O22 0.9072 0.7204 0.3306  1 P 1.50, 1 H 1.65
O23 0.7955 0.9362 0.5951  1 P 1.50, 2 H 1.58-1.64
H26 0.9843 0.4178 0.3250  1 O 0.99
H27 0.3329 0.1027 0.3424  1 O 1.01
H28 0.4322 0.0068 0.2322  1 O 1.00
H29 0.8625 0.0882 0.2290  1 O 0.98
H30 0.1625 0.5680 0.4330  1 O 0.98
P4 0.2601 0.0454 0.5128  4 O 1.48-1.62
O24 0.0636 0.7016 0.5135  1 P 1.51
O25 0.4447 0.1159 0.5616  2 P 1.62
O26 0.9364 0.2984 0.4865  1 P 1.51
O27 0.4602 0.7012 0.5190  1 P 1.50
O28 0.6114 0.8657 0.7082  2 H 1.01
H31 0.4322 0.4932 0.7322  1 O 1.00
O29 0.1122 0.8693 0.2179  2 H 0.98-0.99
O30 0.5553 0.6159 0.9384  2 P 1.62
H32 0.0157 0.9178 0.1750  1 O 0.99
O31 0.8878 0.1307 0.7821  2 H 0.98-0.99
O32 0.5365 0.4423 0.3076  2 H 0.98-1.00
O33 0.5398 0.2012 0.9810  1 P 1.50
O34 0.4145 0.7850 0.8331  1 P 1.50
O35 0.1195 0.1138 0.5585  2 P 1.62
O36 0.1266 0.8952 0.7029  2 H 0.98-1.00
H33 0.3329 0.3973 0.8424  1 O 1.01
O37 0.8805 0.6138 0.9415  2 P 1.62
P5 0.0927 0.2539 0.5670  4 O 1.50-1.64
O38 0.7275 0.8078 0.9556  2 P 1.64-1.65
O39 0.7154 0.0759 0.4475  1 P 1.48
P6 0.4782 0.2564 0.5653  4 O 1.50-1.65
O40 0.7955 0.5638 0.0951  1 P 1.50, 2 H 1.58-1.64
H34 0.7612 0.9406 0.0573  1 O 0.98
H35 0.4400 0.0267 0.8316  1 O 0.98
P7 0.9073 0.7539 0.9330  4 O 1.50-1.64
O41 0.2725 0.1922 0.0444  2 P 1.64-1.65
P8 0.5218 0.7436 0.4347  4 O 1.50-1.65
P9 0.0927 0.2461 0.0670  4 O 1.50-1.64
H36 0.2388 0.4406 0.4427  1 O 0.98
P10 0.7399 0.9546 0.4872  4 O 1.48-1.62
O42 0.1794 0.0004 0.8947  2 H 0.98
P11 0.7399 0.5454 0.9872  4 O 1.48-1.62
O43 0.8206 0.9996 0.1053  2 H 0.98
H37 0.8375 0.4320 0.5670  1 O 0.98
O44 0.5855 0.2850 0.6669  1 P 1.50
O45 0.4635 0.9423 0.1924  2 H 0.98-1.00
O46 0.4635 0.5577 0.6924  2 H 0.98-1.00
O47 0.8878 0.3693 0.2821  2 H 0.98-0.99
O48 0.4602 0.7988 0.0190  1 P 1.50
O49 0.5553 0.8841 0.4384  2 P 1.62
H38 0.1625 0.9320 0.9330  1 O 0.98
H39 0.0562 0.6740 0.7610  1 O 0.98
P12 0.2601 0.4546 0.0128  4 O 1.48-1.62
H40 0.0157 0.5822 0.6750  1 O 0.99
O50 0.2846 0.9241 0.5525  1 P 1.48
O51 0.1266 0.6048 0.2029  2 H 0.98-1.00
O52 0.6114 0.6343 0.2082  2 H 1.01
O53 0.1195 0.3862 0.0585  2 P 1.62
O54 0.0636 0.7984 0.0135  1 P 1.51
O55 0.7154 0.4241 0.9475  1 P 1.48
O56 0.1794 0.4996 0.3947  2 H 0.98


The following is a DFT calculation (PBE) of a geometry-optimized KCdAu3C6N6 structure.

Results
Total magnetization: 0.00 μB per formula unit
Space group: P312, No. 149
Formation enthalpy at 0 K: 61 kJ/mol of formula units
Calculated total energy: -114.44 eV per formula unit

abc: 7.2829 7.2829 8.0427
angles: 90.00 90.00 120.00
Last column: nearest neighbours and their distance in Å.
Sites, in units of the cell vectors:
N1 0.7336 0.9958 0.1701  1 C 1.17
C1 0.9958 0.6438 0.2910  1 N 1.17
N2 0.0042 0.7378 0.1701  1 C 1.17
C2 0.6480 0.0042 0.2910  1 N 1.17
Au1 0.9910 0.4955 0.5000  2 C 1.99
K1 0.3333 0.6667 0.0000  6 N 3.02, 6 C 3.34
C3 0.9958 0.3520 0.7090  1 N 1.17
N3 0.2622 0.9958 0.8299  1 C 1.17
N4 0.7336 0.7378 0.8299  1 C 1.17
N5 0.2622 0.2664 0.1701  1 C 1.17
C4 0.3562 0.0042 0.7090  1 N 1.17
C5 0.3562 0.3520 0.2910  1 N 1.17
Cd1 0.0000 0.0000 0.0000  6 N 2.36
Au2 0.5045 0.0090 0.5000  2 C 1.99
N6 0.0042 0.2664 0.8299  1 C 1.17
C6 0.6480 0.6438 0.7090  1 N 1.17
Au3 0.5045 0.4955 0.5000  2 C 1.99


The following is a DFT calculation (PBE) of a geometry-optimized La2Th5O13 structure.

Results
Total magnetization: 0.00 μB per formula unit
Space group: R3m, No. 160
Formation enthalpy at 0 K: -8130 kJ/mol of formula units
Calculated total energy: -186.60 eV per formula unit

abc: 23.0942 23.0942 23.0942
angles: 9.88 9.88 9.88
Last column: nearest neighbours and their distance in Å.
Sites, in units of the cell vectors:
O1 0.8922 0.8922 0.8922  4 Th 2.39-2.45
O2 0.6759 0.6759 0.6759  3 La 2.36
Th1 0.4292 0.4292 0.4292  8 O 2.41-2.49
O3 0.4641 0.4641 0.4641  4 Th 2.41-2.46
O4 0.5353 0.5353 0.5353  4 Th 2.42-2.48
O5 0.8212 0.8212 0.8212  4 Th 2.42-2.50
O6 0.7498 0.7498 0.7498  4 Th 2.38-2.46
O7 0.2487 0.2487 0.2487  1 La 2.39, 3 Th 2.41
La1 0.0013 0.0013 0.0013  5 O 2.22-2.45
O8 0.1070 0.1070 0.1070  4 Th 2.42-2.51
O9 0.6059 0.6059 0.6059  1 Th 2.39, 3 La 2.42
O10 0.9691 0.9691 0.9691  1 La 2.22
Th2 0.1434 0.1434 0.1434  8 O 2.41-2.51
O11 0.3931 0.3931 0.3931  4 Th 2.42-2.49
Th3 0.8575 0.8575 0.8575  8 O 2.39-2.50
O12 0.0368 0.0368 0.0368  3 Th 2.44, 1 La 2.45
Th4 0.5712 0.5712 0.5712  8 O 2.39-2.48
O13 0.1783 0.1783 0.1783  4 Th 2.41-2.45
Th5 0.7153 0.7153 0.7153  7 O 2.38-2.44
La2 0.2834 0.2834 0.2834  7 O 2.39-2.64


The following is a DFT calculation (PBE) of a geometry-optimized Ni3S structure.

Results
Total magnetization: 1.07 μB per formula unit
Space group: I4/mmm, No. 139
Formation enthalpy at 0 K: 8 kJ/mol of formula units
Calculated total energy: -20.89 eV per formula unit

abc: 4.4095 4.4095 4.4095
angles: 133.43 133.43 67.98
Last column: nearest neighbours and their distance in Å.
Sites, in units of the cell vectors:
Ni1 0.5000 0.5000 0.0000  4 S 2.47, 8 Ni 2.53
Ni2 0.7500 0.2500 0.5000  8 Ni 2.47-2.53, 4 S 2.53
Ni3 0.2500 0.7500 0.5000  8 Ni 2.47-2.53, 4 S 2.53
S1 0.0000 0.0000 0.0000  12 Ni 2.47-2.53


The following is a DFT calculation (PBE) of a geometry-optimized KEuS2 structure.

Results
Space group: R-3m, No. 166
Formation enthalpy at 0 K: -695 kJ/mol of formula units
Calculated total energy: -25.84 eV per formula unit

abc: 7.7466 7.7466 7.7466
angles: 31.44 31.44 31.44
Last column: nearest neighbours and their distance in Å.
Sites, in units of the cell vectors:
Eu1 0.5000 0.5000 0.5000  6 S 2.84
K1 0.0000 0.0000 0.0000  6 S 3.27
S1 0.2342 0.2342 0.2342  3 Eu 2.84
S2 0.7658 0.7658 0.7658  3 Eu 2.84


The following is a DFT calculation (PBE) of a geometry-optimized MoCl5 structure.

Results
Total magnetization: 1.00 μB per formula unit
Space group: P2_1/c, No. 14
Formation enthalpy at 0 K: -743 kJ/mol of formula units
Calculated total energy: -24.72 eV per formula unit

abc: 12.3814 9.7278 12.9652
angles: 70.28 90.00 90.00
Last column: nearest neighbours and their distance in Å.
Sites, in units of the cell vectors:
Cl1 0.2340 0.0949 0.6867  2 Mo 2.54-2.55
Cl2 0.0112 0.4682 0.7417  1 Mo 2.27
Cl3 0.2644 0.9063 0.4499  1 Mo 2.28
Mo1 0.8755 0.6944 0.2936  5 Cl 2.27-2.54
Cl4 0.4841 0.7158 0.4311  1 Mo 2.27
Cl5 0.7686 0.7175 0.1449  1 Mo 2.29
Cl6 0.0193 0.0913 0.8346  2 Mo 2.54
Cl7 0.7644 0.0937 0.0501  1 Mo 2.28
Cl8 0.7660 0.9051 0.3133  2 Mo 2.54-2.55
Cl9 0.9888 0.5318 0.2583  1 Mo 2.27
Cl10 0.5220 0.0959 0.8350  1 Mo 2.29
Mo2 0.8720 0.1194 0.1855  5 Cl 2.27-2.54
Cl11 0.9807 0.9087 0.1654  2 Mo 2.54
Cl12 0.9821 0.7222 0.4291  1 Mo 2.29
Cl13 0.2314 0.2825 0.8551  1 Mo 2.29
Mo3 0.1280 0.8806 0.8145  5 Cl 2.27-2.54
Mo4 0.3755 0.3056 0.2064  5 Cl 2.27-2.54
Cl14 0.2591 0.7175 0.2799  1 Mo 2.27
Cl15 0.2409 0.7175 0.7799  1 Mo 2.27
Cl16 0.0159 0.7158 0.9311  1 Mo 2.27
Mo5 0.1245 0.3056 0.7064  5 Cl 2.27-2.54
Cl17 0.5193 0.9087 0.6654  2 Mo 2.54
Cl18 0.7356 0.0937 0.5501  1 Mo 2.28
Cl19 0.2656 0.4722 0.0880  1 Mo 2.27
Cl20 0.5112 0.5318 0.7583  1 Mo 2.27
Cl21 0.7344 0.5278 0.9120  1 Mo 2.27
Cl22 0.7340 0.9051 0.8133  2 Mo 2.54-2.55
Cl23 0.2356 0.9063 0.9499  1 Mo 2.28
Cl24 0.9841 0.2842 0.0689  1 Mo 2.27
Cl25 0.2686 0.2825 0.3551  1 Mo 2.29
Mo6 0.6280 0.1194 0.6855  5 Cl 2.27-2.54
Cl26 0.5179 0.7222 0.9291  1 Mo 2.29
Mo7 0.6245 0.6944 0.7936  5 Cl 2.27-2.54
Cl27 0.4888 0.4682 0.2417  1 Mo 2.27
Cl28 0.0179 0.2778 0.5709  1 Mo 2.29
Mo8 0.3720 0.8806 0.3145  5 Cl 2.27-2.54
Cl29 0.5159 0.2842 0.5689  1 Mo 2.27
Cl30 0.4821 0.2778 0.0709  1 Mo 2.29
Cl31 0.7409 0.2825 0.7201  1 Mo 2.27
Cl32 0.7314 0.7175 0.6449  1 Mo 2.29
Cl33 0.4807 0.0913 0.3346  2 Mo 2.54
Cl34 0.9780 0.0959 0.3350  1 Mo 2.29
Cl35 0.0220 0.9041 0.6650  1 Mo 2.29
Cl36 0.2344 0.4722 0.5880  1 Mo 2.27
Cl37 0.4780 0.9041 0.1650  1 Mo 2.29
Cl38 0.7591 0.2825 0.2201  1 Mo 2.27
Cl39 0.2660 0.0949 0.1867  2 Mo 2.54-2.55
Cl40 0.7656 0.5278 0.4120  1 Mo 2.27


The following is a DFT calculation (PBE) of a geometry-optimized ZnAu structure.

Results
Space group: Pm-3m, No. 221
Formation enthalpy at 0 K: -42 kJ/mol of formula units
Calculated total energy: -4.97 eV per formula unit

abc: 3.1943 3.1943 3.1943
angles: 90.00 90.00 90.00
Last column: nearest neighbours and their distance in Å.
Sites, in units of the cell vectors:
Au1 0.0000 0.0000 0.0000  8 Zn 2.77
Zn1 0.5000 0.5000 0.5000  8 Au 2.77


Copy entry 1 word for word.
The following is a DFT calculation (PBE) of a geometry-optimized Rb2P structure.

Results
Total magnetization: 1.00 μB per formula unit
Space group: Pnma, No. 62
Formation enthalpy at 0 K: -1 kJ/mol of formula units
Calculated total energy: -7.38 eV per formula unit

abc: 5.4904 8.4203 10.6103
angles: 90.00 90.00 90.00
Last column: nearest neighbours and their distance in Å.
Sites, in units of the cell vectors:
Rb1 0.2500 0.4813 0.1738  5 P 3.62-4.04, 3 Rb 3.99-4.00
P1 0.7500 0.7518 0.1151  7 Rb 3.40-3.64
P2 0.2500 0.2482 0.8849  7 Rb 3.40-3.64
Rb2 0.2500 0.8396 0.9276  4 P 3.40-3.47
P3 0.2500 0.7482 0.6151  7 Rb 3.40-3.64
Rb3 0.7500 0.5187 0.8262  5 P 3.62-4.04, 3 Rb 3.99-4.00
Rb4 0.2500 0.9813 0.3262  5 P 3.62-4.04, 3 Rb 3.99-4.00
Rb5 0.7500 0.1604 0.0724  4 P 3.40-3.47
Rb6 0.7500 0.6604 0.4276  4 P 3.40-3.47
P4 0.7500 0.2518 0.3849  7 Rb 3.40-3.64
Rb7 0.2500 0.3396 0.5724  4 P 3.40-3.47
Rb8 0.7500 0.0187 0.6738  5 P 3.62-4.04, 3 Rb 3.99-4.00


- The lowest formation enthalpy at 0 K belongs to which entry?
  La2Th5O13